Record 1
Below is crystalline KRe3Os3Se8Cl6 at its relaxed geometry, with properties calculated at the PBE-GGA level.

Values from the calculation:
- ΔE_f: -0.817 eV/atom
- Raw total energy: -498.7 eV for the cell shown
- Crystal system: triclinic
- Total magnetization: 0.0000 μB per atom

Structure (POSCAR):
```
KRe3Os3Se8Cl6
1.0
13.2277 0.0000 0.0000
-0.0216 13.2461 0.0000
-0.0001 -0.0003 13.2701
K Re Os Se Cl
4 12 12 32 24
Direct
0.0000 0.0000 0.0000
0.0004 0.4997 0.4992
0.4994 0.9998 0.4992
0.4998 0.4999 0.9997
0.0313 0.3684 0.0411
0.0316 0.1315 0.4580
0.1311 0.5414 0.0310
0.1315 0.9584 0.4680
0.3682 0.5413 0.4680
0.3685 0.9581 0.0309
0.4682 0.3681 0.4580
0.5313 0.8682 0.9580
0.5416 0.5313 0.3681
0.6313 0.0413 0.9681
0.8684 0.4582 0.9682
0.9582 0.9683 0.3681
0.0409 0.0310 0.6313
0.0415 0.4687 0.8675
0.4579 0.0320 0.8678
0.4589 0.4686 0.6312
0.4684 0.1311 0.0410
0.5320 0.6310 0.5417
0.5416 0.9687 0.1317
0.6316 0.4586 0.5317
0.8681 0.0410 0.5317
0.9577 0.5320 0.1314
0.9683 0.6313 0.9581
0.9677 0.8686 0.5418
0.0541 0.6949 0.1163
0.0549 0.8040 0.3840
0.1152 0.4448 0.1954
0.1173 0.0560 0.3040
0.1345 0.6353 0.8630
0.1345 0.8645 0.6355
0.1951 0.1167 0.5564
0.1946 0.3831 0.9422
0.3046 0.3829 0.5564
0.3056 0.1172 0.9427
0.3641 0.8651 0.8625
0.3652 0.6351 0.6355
0.3825 0.4436 0.3040
0.3845 0.0557 0.1946
0.4449 0.6955 0.3840
0.4449 0.8049 0.1174
0.5542 0.1949 0.8829
0.5561 0.3056 0.6166
0.6151 0.9446 0.8037
0.6166 0.5556 0.6940
0.6345 0.1352 0.1361
0.6367 0.3642 0.3650
0.6954 0.6164 0.4446
0.6946 0.8830 0.0569
0.8044 0.8832 0.4446
0.8056 0.6172 0.0564
0.8630 0.1354 0.3650
0.8641 0.3651 0.1365
0.8831 0.9440 0.6940
0.8846 0.5559 0.8044
0.9436 0.1940 0.6166
0.9448 0.3050 0.8817
0.0755 0.2007 0.0956
0.0761 0.2988 0.4026
0.0962 0.4236 0.7007
0.0971 0.0756 0.7979
0.2006 0.5957 0.4234
0.2009 0.9025 0.0746
0.2991 0.5957 0.0750
0.2992 0.9041 0.4229
0.4029 0.4242 0.7974
0.4037 0.0750 0.7002
0.4236 0.2008 0.4026
0.4243 0.2982 0.0957
0.5749 0.7988 0.5953
0.5756 0.7002 0.9029
0.5957 0.5747 0.1998
0.5969 0.9238 0.2987
0.7007 0.0970 0.5743
0.7007 0.4026 0.9242
0.7993 0.0956 0.9237
0.7992 0.4028 0.5748
0.9031 0.5748 0.2992
0.9044 0.9250 0.2002
0.9241 0.7987 0.9030
0.9248 0.7008 0.5954
```

---

Record 2
Below is crystalline K2PbCl5 at its relaxed geometry, with properties calculated at the PBE-GGA level.

Values from the calculation:
- ΔE_f: -1.759 eV/atom
- Raw total energy: -104.7 eV for the cell shown
- Crystal system: orthorhombic
- Total magnetization: 0.1100 μB per atom

Structure (POSCAR):
```
K2PbCl5
1.0
12.8630 0.0000 0.0000
0.0000 8.8721 0.0000
0.0000 0.0000 8.1898
K Pb Cl
8 4 20
Direct
0.1723 0.0005 0.0462
0.1723 0.4995 0.0462
0.3277 0.9995 0.5462
0.3277 0.5005 0.5462
0.6723 0.0005 0.4538
0.6723 0.4995 0.4538
0.8277 0.9995 0.9538
0.8277 0.5005 0.9538
0.0029 0.2500 0.5701
0.4971 0.7500 0.0701
0.5029 0.2500 0.9299
0.9971 0.7500 0.4299
0.0133 0.2500 0.9221
0.0816 0.5417 0.6642
0.0816 0.9583 0.6642
0.1753 0.2500 0.3682
0.2027 0.7500 0.3324
0.2973 0.2500 0.8324
0.3247 0.7500 0.8682
0.4184 0.0417 0.1642
0.4184 0.4583 0.1642
0.4867 0.7500 0.4221
0.5133 0.2500 0.5779
0.5816 0.5417 0.8358
0.5816 0.9583 0.8358
0.6753 0.2500 0.1318
0.7027 0.7500 0.1676
0.7973 0.2500 0.6676
0.8247 0.7500 0.6318
0.9184 0.0417 0.3358
0.9184 0.4583 0.3358
0.9867 0.7500 0.0779
```